# 1
Sr2AlBiO6: relaxed, PBE-GGA.

energy of formation: -2.63 eV per atom
SG: Fm-3m, No. 225

Cell: 5.702 5.702 5.702 Å, 60.00 60.00 60.00°
Positions (direct):
Sr 0.750 0.750 0.750
O 0.239 0.761 0.761
O 0.761 0.761 0.239
Sr 0.250 0.250 0.250
O 0.761 0.239 0.239
O 0.239 0.761 0.239
O 0.239 0.239 0.761
Al 0.000 0.000 0.000
Bi 0.500 0.500 0.500
O 0.761 0.239 0.761


# 2
Sr6Al12Bi2O27: relaxed, PBE-GGA.

energy of formation: -3.28 eV per atom
SG: R3, No. 146

Cell: 10.635 10.635 10.635 Å, 115.00 115.00 115.00°
Positions (direct):
O 0.462 0.820 0.868
Sr 0.164 0.801 0.769
Sr 0.839 0.195 0.238
Sr 0.238 0.839 0.195
O 0.868 0.462 0.820
Al 0.564 0.264 0.022
O 0.766 0.590 0.496
Al 0.345 0.386 0.661
O 0.182 0.132 0.534
Al 0.976 0.435 0.735
Al 0.659 0.616 0.341
O 0.474 0.123 0.604
O 0.876 0.396 0.526
O 0.510 0.242 0.418
O 0.132 0.534 0.182
O 0.316 0.060 0.766
O 0.604 0.474 0.123
O 0.086 0.904 0.991
O 0.766 0.316 0.060
O 0.233 0.679 0.938
Sr 0.195 0.238 0.839
O 0.534 0.182 0.132
O 0.991 0.086 0.904
O 0.590 0.496 0.766
O 0.123 0.604 0.474
O 0.904 0.991 0.086
O 0.820 0.868 0.462
O 0.496 0.766 0.590
Sr 0.769 0.164 0.801
Al 0.264 0.022 0.564
O 0.526 0.876 0.396
O 0.418 0.510 0.242
O 0.396 0.526 0.876
Bi 0.783 0.783 0.783
Al 0.435 0.735 0.976
Bi 0.202 0.202 0.202
O 0.060 0.766 0.316
O 0.242 0.418 0.510
Al 0.386 0.661 0.345
Al 0.616 0.341 0.659
Al 0.735 0.976 0.435
O 0.938 0.233 0.679
Al 0.661 0.345 0.386
Al 0.341 0.659 0.616
Sr 0.801 0.769 0.164
Al 0.022 0.564 0.264
O 0.679 0.938 0.233


# 3
AlBiS: relaxed, PBE-GGA.

energy of formation: 0.00 eV per atom
SG: I4/mcm, No. 140

Cell: 7.874 8.558 8.558 Å, 77.78 62.61 62.61°
Positions (direct):
S 0.579 0.842 0.500
Bi 0.140 0.721 0.500
Bi 0.640 0.500 0.721
Al 0.250 0.000 0.500
S 0.421 0.500 0.158
S 0.079 0.500 0.842
Al 0.250 0.500 0.000
S 0.921 0.158 0.500
Al 0.750 0.000 0.500
Bi 0.860 0.500 0.279
Bi 0.360 0.279 0.500
Al 0.750 0.500 0.000


# 4
Al5Bi3S12: relaxed, PBE-GGA.

energy above the lowest structure with this stoichiometry: 0.058 eV/atom
energy of formation: -0.91 eV per atom
SG: P-42c, No. 112

Cell: 7.598 7.598 36.183 Å, 90.00 90.00 90.00°
Positions (direct):
Bi 0.000 0.500 0.539
S 0.342 0.339 0.125
Bi 0.000 0.500 0.873
Al 0.000 0.000 0.333
S 0.342 0.661 0.375
Al 0.500 0.500 0.000
S 0.670 0.650 0.293
Al 0.500 0.500 0.167
S 0.159 0.839 0.292
S 0.833 0.846 0.043
S 0.839 0.841 0.708
S 0.840 0.841 0.375
Bi 0.000 0.500 0.961
Al 0.000 0.000 0.918
S 0.161 0.159 0.708
S 0.841 0.161 0.292
S 0.341 0.339 0.458
Al 0.500 0.500 0.500
Al 0.500 0.500 0.917
Bi 0.500 0.000 0.793
S 0.350 0.330 0.793
S 0.661 0.341 0.542
S 0.659 0.661 0.458
S 0.167 0.154 0.043
Bi 0.000 0.500 0.627
Al 0.000 0.000 0.750
S 0.841 0.160 0.625
S 0.670 0.350 0.207
S 0.330 0.350 0.293
Bi 0.500 0.000 0.039
S 0.650 0.670 0.793
S 0.339 0.659 0.542
S 0.339 0.341 0.958
S 0.167 0.846 0.457
S 0.661 0.658 0.625
S 0.840 0.159 0.125
Al 0.500 0.500 0.667
S 0.661 0.342 0.875
S 0.160 0.159 0.375
Al 0.000 0.000 0.167
S 0.341 0.661 0.042
S 0.658 0.339 0.375
Al 0.500 0.500 0.833
S 0.330 0.650 0.207
Bi 0.500 0.000 0.373
Bi 0.500 0.000 0.707
S 0.160 0.841 0.125
Al 0.000 0.000 0.833
Bi 0.000 0.500 0.293
S 0.841 0.839 0.208
Al 0.000 0.000 0.667
Al 0.500 0.500 0.333
Al 0.500 0.500 0.583
S 0.159 0.840 0.625
Al 0.000 0.000 0.250
Al 0.500 0.500 0.417
Al 0.000 0.000 0.582
S 0.661 0.659 0.958
S 0.659 0.339 0.042
Bi 0.500 0.000 0.127
S 0.833 0.154 0.457
S 0.658 0.661 0.125
S 0.839 0.159 0.792
S 0.159 0.160 0.875
Bi 0.500 0.000 0.461
Al 0.500 0.500 0.083
S 0.339 0.342 0.625
S 0.846 0.833 0.543
S 0.650 0.330 0.707
S 0.154 0.167 0.543
S 0.159 0.161 0.208
Al 0.000 0.000 0.418
S 0.161 0.841 0.792
S 0.350 0.670 0.707
Bi 0.000 0.500 0.207
S 0.154 0.833 0.957
S 0.846 0.167 0.957
S 0.841 0.840 0.875
S 0.339 0.658 0.875
Al 0.000 0.000 0.082


# 5
Al5Bi3S12: relaxed, PBE-GGA.

energy above the lowest structure with this stoichiometry: 0.000 eV/atom
energy of formation: -0.97 eV per atom
SG: P1, No. 1

Cell: 7.265 7.265 36.072 Å, 90.00 90.00 90.39°
Positions (direct):
S 0.604 0.075 0.296
Al 0.750 0.250 0.495
S 0.577 0.039 0.968
S 0.020 0.602 0.212
S 0.962 0.423 0.468
S 0.416 0.550 0.127
S 0.896 0.425 0.296
Bi 0.250 0.250 0.164
S 0.089 0.588 0.048
S 0.916 0.418 0.127
S 0.584 0.082 0.127
S 0.966 0.103 0.375
S 0.534 0.397 0.375
Al 0.750 0.250 0.344
S 0.083 0.950 0.127
S 0.412 0.911 0.548
S 0.903 0.074 0.541
S 0.419 0.595 0.787
S 0.918 0.415 0.627
Al 0.250 0.750 0.744
S 0.582 0.085 0.627
S 0.450 0.584 0.627
Bi 0.750 0.750 0.941
S 0.925 0.093 0.209
S 0.538 0.077 0.468
S 0.088 0.589 0.548
Al 0.250 0.750 0.501
S 0.398 0.979 0.712
S 0.926 0.097 0.041
Al 0.250 0.750 0.332
Bi 0.250 0.250 0.768
S 0.574 0.403 0.041
Al 0.250 0.750 0.244
Al 0.750 0.250 0.753
S 0.575 0.407 0.209
S 0.081 0.905 0.787
S 0.480 0.898 0.212
Al 0.750 0.250 0.169
S 0.419 0.915 0.872
Al 0.750 0.250 0.669
S 0.925 0.395 0.796
S 0.085 0.581 0.372
S 0.102 0.521 0.712
S 0.908 0.075 0.709
Al 0.750 0.250 0.995
Al 0.250 0.750 0.091
Bi 0.250 0.250 0.066
S 0.415 0.919 0.372
S 0.597 0.426 0.541
Bi 0.250 0.250 0.441
S 0.405 0.580 0.287
Bi 0.750 0.750 0.841
Al 0.250 0.750 0.832
S 0.422 0.592 0.459
S 0.592 0.425 0.709
S 0.092 0.922 0.959
Al 0.750 0.250 0.582
Al 0.750 0.250 0.844
Al 0.750 0.250 0.082
Bi 0.750 0.750 0.664
Bi 0.250 0.250 0.664
S 0.923 0.462 0.968
Al 0.250 0.750 0.591
S 0.050 0.916 0.627
Bi 0.751 0.750 0.164
S 0.603 0.466 0.875
Al 0.250 0.750 0.916
S 0.081 0.585 0.872
S 0.575 0.105 0.796
Al 0.250 0.750 0.416
Al 0.250 0.750 0.001
S 0.411 0.912 0.048
S 0.095 0.920 0.287
Bi 0.750 0.750 0.566
Al 0.750 0.250 0.253
S 0.078 0.908 0.459
Bi 0.250 0.250 0.341
S 0.408 0.578 0.959
Bi 0.750 0.750 0.268
S 0.897 0.034 0.875


# 6
Al5Bi3Se12: relaxed, PBE-GGA.

energy of formation: -0.81 eV per atom
SG: P-42c, No. 112

Cell: 7.911 7.911 37.768 Å, 90.00 90.00 90.00°
Positions (direct):
Se 0.668 0.663 0.125
Se 0.169 0.163 0.542
Al 0.000 0.000 0.167
Se 0.339 0.666 0.042
Se 0.837 0.167 0.124
Se 0.169 0.837 0.958
Se 0.831 0.837 0.542
Se 0.167 0.837 0.624
Se 0.837 0.833 0.376
Al 0.000 0.000 0.833
Se 0.831 0.163 0.958
Bi 0.000 0.500 0.875
Se 0.337 0.668 0.875
Bi 0.500 0.000 0.375
Se 0.663 0.332 0.875
Al 0.000 0.000 0.333
Se 0.661 0.666 0.458
Se 0.337 0.669 0.209
Se 0.666 0.661 0.958
Se 0.331 0.337 0.791
Se 0.163 0.831 0.458
Se 0.663 0.331 0.209
Bi 0.000 0.500 0.542
Se 0.167 0.841 0.792
Al 0.000 0.000 0.083
Bi 0.000 0.500 0.291
Se 0.334 0.339 0.958
Se 0.163 0.169 0.042
Al 0.000 0.000 0.000
Se 0.837 0.169 0.458
Bi 0.000 0.500 0.209
Al 0.500 0.500 0.333
Se 0.337 0.331 0.291
Al 0.000 0.000 0.667
Bi 0.500 0.000 0.791
Al 0.500 0.500 0.417
Bi 0.500 0.000 0.042
Se 0.661 0.334 0.042
Al 0.500 0.500 0.583
Bi 0.000 0.500 0.958
Bi 0.000 0.500 0.625
Se 0.669 0.663 0.791
Se 0.663 0.668 0.625
Al 0.000 0.000 0.583
Se 0.334 0.661 0.542
Se 0.833 0.159 0.792
Se 0.167 0.163 0.876
Al 0.500 0.500 0.167
Se 0.833 0.837 0.876
Al 0.500 0.500 0.917
Al 0.000 0.000 0.917
Se 0.163 0.167 0.376
Se 0.167 0.159 0.708
Se 0.339 0.334 0.458
Se 0.159 0.167 0.208
Se 0.837 0.831 0.042
Al 0.000 0.000 0.500
Se 0.163 0.833 0.124
Al 0.000 0.000 0.417
Bi 0.500 0.000 0.709
Bi 0.500 0.000 0.458
Se 0.666 0.339 0.542
Se 0.833 0.163 0.624
Se 0.331 0.663 0.709
Bi 0.500 0.000 0.125
Al 0.500 0.500 0.750
Se 0.668 0.337 0.375
Al 0.500 0.500 0.833
Al 0.500 0.500 0.083
Se 0.833 0.841 0.708
Se 0.663 0.669 0.291
Se 0.332 0.337 0.125
Se 0.337 0.332 0.625
Al 0.500 0.500 0.667
Se 0.159 0.833 0.292
Se 0.669 0.337 0.709
Al 0.500 0.500 0.250
Se 0.841 0.833 0.208
Se 0.332 0.663 0.375
Se 0.841 0.167 0.292


# 7
AlBr3: relaxed, PBE-GGA.

energy of formation: -1.52 eV per atom
SG: P2_1/c, No. 14

Cell: 7.582 7.908 11.257 Å, 81.94 90.00 90.00°
Positions (direct):
Al 0.089 0.192 0.449
Br 0.374 0.246 0.487
Br 0.935 0.078 0.635
Br 0.079 0.610 0.662
Al 0.911 0.808 0.551
Br 0.421 0.610 0.162
Br 0.126 0.246 0.987
Br 0.626 0.754 0.513
Al 0.411 0.192 0.949
Br 0.565 0.078 0.135
Br 0.435 0.922 0.865
Al 0.589 0.808 0.051
Br 0.874 0.754 0.013
Br 0.921 0.390 0.338
Br 0.579 0.390 0.838
Br 0.065 0.922 0.365


# 8
AlTeH6C2Br3: relaxed, PBE-GGA.

energy of formation: -0.55 eV per atom
SG: Pbcm, No. 57

Cell: 6.963 11.256 14.250 Å, 90.00 90.00 90.00°
Positions (direct):
H 0.062 0.113 0.080
C 0.156 0.390 0.141
Br 0.219 0.250 0.432
Br 0.219 0.750 0.068
C 0.156 0.110 0.141
Al 0.449 0.750 0.554
H 0.938 0.113 0.580
H 0.938 0.887 0.920
H 0.236 0.474 0.143
H 0.062 0.613 0.420
H 0.236 0.526 0.357
H 0.062 0.387 0.080
Br 0.679 0.078 0.384
C 0.844 0.610 0.859
H 0.764 0.474 0.643
H 0.077 0.124 0.206
H 0.923 0.624 0.794
H 0.764 0.026 0.643
H 0.923 0.376 0.706
Te 0.366 0.750 0.365
H 0.236 0.974 0.357
H 0.938 0.387 0.580
Br 0.321 0.078 0.884
Br 0.321 0.578 0.616
Al 0.551 0.750 0.054
H 0.764 0.974 0.857
H 0.236 0.026 0.143
H 0.077 0.624 0.294
Te 0.366 0.250 0.135
Br 0.679 0.578 0.116
H 0.938 0.613 0.920
H 0.062 0.887 0.420
Te 0.634 0.250 0.635
C 0.156 0.890 0.359
Br 0.679 0.922 0.116
Br 0.781 0.250 0.932
Br 0.321 0.422 0.884
C 0.844 0.390 0.641
Br 0.321 0.922 0.616
H 0.077 0.876 0.294
Te 0.634 0.750 0.865
C 0.844 0.110 0.641
H 0.764 0.526 0.857
Br 0.679 0.422 0.384
H 0.077 0.376 0.206
Br 0.781 0.750 0.568
Al 0.551 0.250 0.446
Al 0.449 0.250 0.946
H 0.923 0.124 0.706
C 0.844 0.890 0.859
C 0.156 0.610 0.359
H 0.923 0.876 0.794


Question: Number 5 is which compound?
Answer: Al5Bi3S12


Question: energy of formation of number 6 (Al5Bi3Se12)?
Answer: -0.81 eV per atom


Question: Number 7 is which compound?
Answer: AlBr3